Here is a relaxed structure of Sr3Co2S2O5 from the Materials Project. Energies are from PBE with a Hubbard U.

```
12
Lattice="-1.995 1.995 11.312 1.995 -1.995 11.312 1.995 1.995 -11.312" Properties=species:S:1:pos:R:3 pbc="T T T"
Sr 0.000 0.000 0.000
Sr 0.000 0.000 3.601
Sr 0.000 0.000 19.023
Co 0.000 0.000 9.403
Co 0.000 0.000 13.221
S 0.000 0.000 6.987
S 0.000 0.000 15.637
O 1.995 0.000 1.924
O 1.995 0.000 9.388
O 0.000 0.000 11.312
O 0.000 1.995 1.924
O 0.000 1.995 9.388
```

Properties
Space group = No. 139
ΔE_f = -1.82 eV/atom